Record 1
VASP calculation (PBE-GGA) on a relaxed structure of Na6Mg5NbP3S6O36.

Cell: 8.8365 8.8365 22.4767 Å, 90.17 90.17 59.94°
Element x y z (fractional)
Na1 0.0095 0.6407 0.7380
Na2 0.0120 0.9880 0.5000
Na3 0.0371 0.3039 0.9163
Na4 0.3039 0.0371 0.4163
Na5 0.3274 0.3598 0.3324
Na6 0.3598 0.3274 0.8324
Na7 0.3704 0.6424 0.2466
Na8 0.6407 0.0095 0.2380
Na9 0.6424 0.3704 0.7466
Na10 0.6611 0.6918 0.6617
Na11 0.6918 0.6611 0.1617
Na12 0.9880 0.0120 0.0000
Mg1 0.0004 0.0060 0.8477
Mg2 0.0060 0.0004 0.3477
Mg3 0.0163 0.9973 0.6386
Mg4 0.3310 0.3318 0.6712
Mg5 0.3318 0.3310 0.1712
Mg6 0.3316 0.3535 0.4787
Mg7 0.3535 0.3316 0.9787
Mg8 0.6605 0.6778 0.8131
Mg9 0.6778 0.6605 0.3131
Mg10 0.9973 0.0163 0.1386
Nb1 0.6658 0.6765 0.5167
Nb2 0.6765 0.6658 0.0167
P1 0.0467 0.6358 0.5784
P2 0.0561 0.3285 0.0743
P3 0.3285 0.0561 0.5743
P4 0.3783 0.6669 0.4074
P5 0.6358 0.0467 0.0784
P6 0.6669 0.3783 0.9074
S1 0.0065 0.7117 0.2444
S2 0.0083 0.2981 0.7455
S3 0.2981 0.0083 0.2455
S4 0.2992 0.7133 0.7446
S5 0.3345 0.6335 0.0783
S6 0.3789 0.9658 0.9099
S7 0.6335 0.3345 0.5783
S8 0.6729 0.9659 0.4093
S9 0.7117 0.0065 0.7444
S10 0.7133 0.2992 0.2446
S11 0.9658 0.3789 0.4099
S12 0.9659 0.6729 0.9093
O1 0.0076 0.8242 0.5832
O2 0.0237 0.1756 0.0809
O3 0.0282 0.1992 0.8009
O4 0.0336 0.7931 0.2982
O5 0.1074 0.5344 0.6374
O6 0.1206 0.3766 0.1297
O7 0.1364 0.5117 0.9170
O8 0.1444 0.3530 0.4155
O9 0.1480 0.3182 0.0160
O10 0.1571 0.5464 0.5249
O11 0.1629 0.3224 0.7403
O12 0.1673 0.5367 0.2386
O13 0.1756 0.0237 0.5809
O14 0.1856 0.8115 0.0845
O15 0.1907 0.7944 0.7978
O16 0.1992 0.0282 0.3009
O17 0.2033 0.8430 0.4090
O18 0.2046 0.9794 0.9064
O19 0.2128 0.9796 0.1937
O20 0.2161 0.8167 0.6911
O21 0.3143 0.5503 0.0256
O22 0.3182 0.1480 0.5160
O23 0.3224 0.1629 0.2403
O24 0.3216 0.5322 0.7397
O25 0.3530 0.1444 0.9155
O26 0.3630 0.5054 0.4163
O27 0.3709 0.5305 0.1335
O28 0.3766 0.1206 0.6297
O29 0.4698 0.8570 0.9636
O30 0.4792 0.6891 0.7493
O31 0.4803 0.6500 0.3503
O32 0.4797 0.8476 0.2491
O33 0.4849 0.8853 0.8569
O34 0.4871 0.6881 0.4618
O35 0.4999 0.6512 0.0706
O36 0.5039 0.8595 0.5666
O37 0.5054 0.3630 0.9163
O38 0.5117 0.1364 0.4170
O39 0.5305 0.3709 0.6335
O40 0.5322 0.3216 0.2397
O41 0.5344 0.1074 0.1374
O42 0.5367 0.1673 0.7386
O43 0.5464 0.1571 0.0249
O44 0.5503 0.3143 0.5256
O45 0.6479 0.8845 0.3551
O46 0.6500 0.4803 0.8503
O47 0.6500 0.8574 0.0659
O48 0.6512 0.4999 0.5706
O49 0.6881 0.4871 0.9618
O50 0.6891 0.4792 0.2493
O51 0.6959 0.8514 0.4627
O52 0.6966 0.8457 0.7509
O53 0.7931 0.0336 0.7982
O54 0.7944 0.1907 0.2978
O55 0.8115 0.1856 0.5845
O56 0.8167 0.2161 0.1911
O57 0.8216 0.9775 0.6914
O58 0.8242 0.0076 0.0832
O59 0.8301 0.9815 0.4065
O60 0.8430 0.2033 0.9090
O61 0.8457 0.6966 0.2509
O62 0.8476 0.4797 0.7491
O63 0.8514 0.6959 0.9627
O64 0.8570 0.4698 0.4636
O65 0.8574 0.6500 0.5659
O66 0.8595 0.5039 0.0666
O67 0.8853 0.4849 0.3569
O68 0.8845 0.6479 0.8551
O69 0.9775 0.8216 0.1914
O70 0.9794 0.2046 0.4064
O71 0.9796 0.2128 0.6937
O72 0.9815 0.8301 0.9065

Results
- Total moment: 0.000 μB/cell
- Formation enthalpy at 0 K: -2.49 eV per atom
- Final energy: -6.354 eV per atom


Record 2
VASP calculation (PBE-GGA) on a relaxed structure of Be2C.

Cell: 3.0602 3.0602 3.0602 Å, 60.00 60.00 60.00°
Element x y z (fractional)
Be1 0.2500 0.2500 0.2500
Be2 0.7500 0.7500 0.7500
C1 0.0000 0.0000 0.0000

Results
- Formation enthalpy at 0 K: -0.23 eV per atom
- Final energy: -5.800 eV per atom


Record 3
VASP calculation (PBE-GGA) on a relaxed structure of KCu3SiSe4.

Cell: 6.1276 6.1276 6.1276 Å, 90.00 90.00 90.00°
Element x y z (fractional)
K1 0.0000 0.0000 0.0000
Cu1 0.0000 0.5000 0.5000
Cu2 0.5000 0.0000 0.5000
Cu3 0.5000 0.5000 0.0000
Si1 0.5000 0.5000 0.5000
Se1 0.2861 0.2861 0.7139
Se2 0.2861 0.7139 0.2861
Se3 0.7139 0.2861 0.2861
Se4 0.7139 0.7139 0.7139

Results
- Total moment: 0.000 μB/cell
- Formation enthalpy at 0 K: -0.54 eV per atom
- Final energy: -3.975 eV per atom


Record 4
VASP calculation (PBE-GGA) on a relaxed structure of Ca2Ni10H.

Cell: 5.0277 5.0277 7.8196 Å, 90.00 90.00 121.12°
Element x y z (fractional)
Ca1 0.0000 0.0000 0.0000
Ca2 0.0000 0.0000 0.4997
Ni1 0.0000 0.5000 0.2558
Ni2 0.0000 0.5000 0.7446
Ni3 0.3157 0.6843 0.0013
Ni4 0.3401 0.6599 0.5002
Ni5 0.5000 0.0000 0.2558
Ni6 0.5000 0.0000 0.7446
Ni7 0.5000 0.5000 0.2458
Ni8 0.5000 0.5000 0.7532
Ni9 0.6599 0.3401 0.5002
Ni10 0.6843 0.3157 0.0013
H1 0.5000 0.5000 0.9760

Results
- Total moment: 3.007 μB/cell
- Formation enthalpy at 0 K: -0.13 eV per atom
- Final energy: -5.133 eV per atom


Record 5
VASP calculation (PBE-GGA) on a relaxed structure of Ba6Bi2Te3O18.

Cell: 10.5418 10.5418 10.5418 Å, 146.54 131.65 60.07°
Element x y z (fractional)
Ba1 0.0791 0.3458 0.7333
Ba2 0.2213 0.0000 0.2213
Ba3 0.3875 0.6542 0.7333
Ba4 0.6125 0.3458 0.2667
Ba5 0.7787 0.0000 0.7787
Ba6 0.9209 0.6542 0.2667
Bi1 0.3341 0.8341 0.5000
Bi2 0.6659 0.1659 0.5000
Te1 0.1688 0.1688 0.0000
Te2 0.5000 0.5000 0.0000
Te3 0.8312 0.8312 0.0000
O1 0.0621 0.8314 0.2307
O2 0.0942 0.3199 0.2257
O3 0.0942 0.8684 0.7743
O4 0.2448 0.0151 0.7703
O5 0.2448 0.4745 0.2297
O6 0.2783 0.5000 0.7783
O7 0.3994 0.1686 0.2307
O8 0.4224 0.1918 0.7694
O9 0.4224 0.6529 0.2306
O10 0.5776 0.3471 0.7694
O11 0.5776 0.8082 0.2306
O12 0.6006 0.8314 0.7693
O13 0.7217 0.5000 0.2217
O14 0.7552 0.5255 0.7703
O15 0.7552 0.9849 0.2297
O16 0.9058 0.1316 0.2257
O17 0.9058 0.6801 0.7743
O18 0.9379 0.1686 0.7693

Results
- Total moment: 0.001 μB/cell
- Formation enthalpy at 0 K: -2.38 eV per atom
- Final energy: -6.014 eV per atom


Record 6
VASP calculation (PBE-GGA) on a relaxed structure of Ca2TlCd.

Cell: 5.4747 5.4747 5.4747 Å, 60.00 60.00 60.00°
Element x y z (fractional)
Ca1 0.2500 0.2500 0.2500
Ca2 0.7500 0.7500 0.7500
Tl1 0.0000 0.0000 0.0000
Cd1 0.5000 0.5000 0.5000

Results
- Formation enthalpy at 0 K: -0.41 eV per atom
- Final energy: -2.234 eV per atom


Record 7
VASP calculation (PBE-GGA) on a relaxed structure of NaPH2OF6.

Cell: 10.7149 7.9877 6.1185 Å, 90.00 90.00 90.00°
Element x y z (fractional)
Na1 0.2384 0.2500 0.2500
Na2 0.2616 0.7500 0.2500
Na3 0.7384 0.2500 0.7500
Na4 0.7616 0.7500 0.7500
P1 0.0000 0.0000 0.0000
P2 0.0000 0.5000 0.5000
P3 0.5000 0.0000 0.0000
P4 0.5000 0.5000 0.5000
H1 0.1771 0.5049 0.9302
H2 0.1771 0.9951 0.5698
H3 0.3229 0.0049 0.5698
H4 0.3229 0.4951 0.9302
H5 0.6771 0.5049 0.0698
H6 0.6771 0.9951 0.4302
H7 0.8229 0.0049 0.4302
H8 0.8229 0.4951 0.0698
O1 0.2500 0.0000 0.4747
O2 0.2500 0.5000 0.0253
O3 0.7500 0.0000 0.5253
O4 0.7500 0.5000 0.9747
F1 0.0053 0.5295 0.7644
F2 0.0053 0.9705 0.7356
F3 0.1020 0.6508 0.4673
F4 0.1020 0.8492 0.0327
F5 0.1142 0.1367 0.9791
F6 0.1142 0.3633 0.5209
F7 0.3859 0.6367 0.5209
F8 0.3859 0.8633 0.9791
F9 0.3980 0.1508 0.0327
F10 0.3980 0.3492 0.4673
F11 0.4947 0.0295 0.7356
F12 0.4947 0.4705 0.7644
F13 0.5053 0.5295 0.2356
F14 0.5053 0.9705 0.2644
F15 0.6020 0.6508 0.5327
F16 0.6020 0.8492 0.9673
F17 0.6142 0.1367 0.0209
F18 0.6142 0.3633 0.4791
F19 0.8858 0.6367 0.4791
F20 0.8858 0.8633 0.0209
F21 0.8980 0.1508 0.9673
F22 0.8980 0.3492 0.5327
F23 0.9947 0.0295 0.2644
F24 0.9947 0.4705 0.2356

Results
- Total moment: 0.001 μB/cell
- Formation enthalpy at 0 K: -2.55 eV per atom
- Final energy: -4.956 eV per atom


Record 8
VASP calculation (PBE-GGA) on a relaxed structure of LiCa2TeO6.

Cell: 5.5622 5.7621 9.4755 Å, 90.00 124.81 90.00°
Element x y z (fractional)
Li1 0.0000 0.0000 0.0000
Li2 0.0000 0.5000 0.5000
Ca1 0.2286 0.0581 0.7444
Ca2 0.2286 0.4419 0.2444
Ca3 0.7714 0.5581 0.7556
Ca4 0.7714 0.9419 0.2556
Te1 0.5000 0.0000 0.5000
Te2 0.5000 0.5000 0.0000
O1 0.1710 0.1868 0.4547
O2 0.1710 0.3132 0.9547
O3 0.2629 0.7215 0.4452
O4 0.2629 0.7785 0.9452
O5 0.3566 0.0342 0.2600
O6 0.3566 0.4658 0.7600
O7 0.6434 0.5342 0.2400
O8 0.6434 0.9658 0.7400
O9 0.7371 0.2215 0.0548
O10 0.7371 0.2785 0.5548
O11 0.8290 0.6868 0.0453
O12 0.8290 0.8132 0.5453

Results
- Total moment: 2.000 μB/cell
- Formation enthalpy at 0 K: -2.39 eV per atom
- Final energy: -5.857 eV per atom


Record 9
VASP calculation (PBE-GGA) on a relaxed structure of PuOF.

Cell: 3.9724 3.9724 3.9724 Å, 60.00 60.00 60.00°
Element x y z (fractional)
Pu1 0.0000 0.0000 0.0000
O1 0.7500 0.7500 0.7500
F1 0.2500 0.2500 0.2500

Results
- Total moment: 5.001 μB/cell
- Formation enthalpy at 0 K: -3.66 eV per atom
- Final energy: -10.316 eV per atom


Record 10
VASP calculation (PBE-GGA) on a relaxed structure of Mg2Cu2O5.

Cell: 7.8247 7.8247 7.8247 Å, 56.20 141.39 140.80°
Element x y z (fractional)
Mg1 0.0015 0.1188 0.1203
Mg2 0.0015 0.3812 0.3827
Mg3 0.9985 0.6188 0.6173
Mg4 0.9985 0.8812 0.8797
Cu1 0.4481 0.4481 0.0000
Cu2 0.4481 0.9481 0.5000
Cu3 0.4967 0.7730 0.2236
Cu4 0.5494 0.2730 0.7764
O1 0.2656 0.0261 0.5102
O2 0.2656 0.2554 0.7395
O3 0.4708 0.1632 0.2222
O4 0.4708 0.7486 0.8075
O5 0.5159 0.5261 0.2605
O6 0.5159 0.7554 0.4898
O7 0.7654 0.1321 0.1333
O8 0.9411 0.2486 0.7778
O9 0.9411 0.6632 0.1925
O10 0.9988 0.6321 0.8667

Results
- Total moment: 2.386 μB/cell
- Formation enthalpy at 0 K: -1.68 eV per atom
- Final energy: -5.315 eV per atom


Record 11
VASP calculation (PBE-GGA) on a relaxed structure of Sr8Co3N8.

Cell: 9.7324 9.7324 7.4602 Å, 105.20 105.20 31.84°
Element x y z (fractional)
Sr1 0.0295 0.0295 0.2646
Sr2 0.2004 0.2004 0.8099
Sr3 0.3330 0.3330 0.5271
Sr4 0.4042 0.4042 0.0405
Sr5 0.5958 0.5958 0.9595
Sr6 0.6670 0.6670 0.4729
Sr7 0.7996 0.7996 0.1901
Sr8 0.9705 0.9705 0.7354
Co1 0.1868 0.1868 0.2059
Co2 0.5000 0.5000 0.5000
Co3 0.8132 0.8132 0.7941
N1 0.1063 0.1063 0.0115
N2 0.1771 0.1771 0.4318
N3 0.2757 0.2757 0.1669
N4 0.4742 0.4742 0.7148
N5 0.5258 0.5258 0.2852
N6 0.7243 0.7243 0.8331
N7 0.8229 0.8229 0.5682
N8 0.8937 0.8937 0.9885

Results
- Total moment: 5.587 μB/cell
- Formation enthalpy at 0 K: -0.67 eV per atom
- Final energy: -5.867 eV per atom


Record 12
VASP calculation (PBE-GGA) on a relaxed structure of Nb4CuSi.

Cell: 6.2312 6.2312 5.0792 Å, 90.00 90.00 90.00°
Element x y z (fractional)
Nb1 0.1563 0.3404 0.0000
Nb2 0.1563 0.6596 0.5000
Nb3 0.3404 0.1563 0.5000
Nb4 0.3404 0.8437 0.0000
Nb5 0.6596 0.1563 0.0000
Nb6 0.6596 0.8437 0.5000
Nb7 0.8437 0.3404 0.5000
Nb8 0.8437 0.6596 0.0000
Cu1 0.5000 0.5000 0.2500
Cu2 0.5000 0.5000 0.7500
Si1 0.0000 0.0000 0.2500
Si2 0.0000 0.0000 0.7500

Results
- Total moment: 0.001 μB/cell
- Formation enthalpy at 0 K: -0.23 eV per atom
- Final energy: -8.559 eV per atom